No. 1
The following is a DFT calculation (GGA-PBE) of a relaxed Dy2MgS4 crystal.

a b c (Å): 7.232 8.372 12.916
angles (deg): 99.54 95.65 90.01
Space group P-1 (No. 2)
One atom of each set of equivalent atoms:
Dy 0.132 0.445 0.304 (multiplicity 2)
Dy 0.134 0.957 0.308 (multiplicity 2)
Dy 0.259 0.128 0.001 (multiplicity 2)
Dy 0.365 0.300 0.694 (multiplicity 2)
Mg 0.251 0.622 0.996 (multiplicity 2)
Mg 0.366 0.800 0.700 (multiplicity 2)
S 0.096 0.407 0.102 (multiplicity 2)
S 0.106 0.897 0.104 (multiplicity 2)
S 0.195 0.543 0.629 (multiplicity 2)
S 0.196 0.021 0.629 (multiplicity 2)
S 0.309 0.718 0.375 (multiplicity 2)
S 0.330 0.219 0.372 (multiplicity 2)
S 0.393 0.845 0.893 (multiplicity 2)
S 0.406 0.355 0.897 (multiplicity 2)

Summary:
The value obtained for the calculated density is 4.1 g cm⁻³. As for the energy above the most stable polymorph in this dataset: 192 meV per atom. Its formation energy is -1977.3 meV/atom.

No. 2
The following is a DFT calculation (GGA-PBE) of a relaxed Dy2Si9B36C crystal.

a b c (Å): 12.504 10.113 8.012
angles (deg): 90.00 105.48 90.00
Space group Cm (No. 8)
One atom of each set of equivalent atoms:
Dy 0.000 0.250 0.000 (multiplicity 4)
Si 0.013 0.000 0.837 (multiplicity 2)
Si 0.178 0.000 0.073 (multiplicity 2)
Si 0.211 0.195 0.246 (multiplicity 4)
Si 0.289 0.194 0.754 (multiplicity 4)
Si 0.294 0.500 0.457 (multiplicity 2)
Si 0.320 0.000 0.929 (multiplicity 2)
Si 0.487 0.000 0.161 (multiplicity 2)
B 0.014 0.157 0.676 (multiplicity 4)
B 0.037 0.086 0.481 (multiplicity 4)
B 0.054 0.325 0.700 (multiplicity 4)
B 0.092 0.220 0.378 (multiplicity 4)
B 0.103 0.371 0.518 (multiplicity 4)
B 0.124 0.500 0.055 (multiplicity 2)
B 0.132 0.207 0.607 (multiplicity 4)
B 0.139 0.410 0.871 (multiplicity 4)
B 0.214 0.355 0.081 (multiplicity 4)
B 0.233 0.500 0.775 (multiplicity 2)
B 0.255 0.500 0.204 (multiplicity 2)
B 0.283 0.357 0.910 (multiplicity 4)
B 0.357 0.410 0.126 (multiplicity 4)
B 0.370 0.200 0.394 (multiplicity 4)
B 0.372 0.500 0.936 (multiplicity 2)
B 0.401 0.354 0.495 (multiplicity 4)
B 0.410 0.214 0.626 (multiplicity 4)
B 0.446 0.322 0.304 (multiplicity 4)
B 0.463 0.084 0.523 (multiplicity 4)
B 0.490 0.152 0.329 (multiplicity 4)
C 0.183 0.500 0.566 (multiplicity 2)

Summary:
The value obtained for the calculated density is 3.3 g cm⁻³. Its formation energy is -206.9 meV/atom.

No. 3
The following is a DFT calculation (GGA-PBE) of a relaxed LiNb7O12 crystal.

a b c (Å): 10.871 9.604 10.408
angles (deg): 90.00 104.76 90.00
Space group P2_1/c (No. 14)
One atom of each set of equivalent atoms:
Li 0.080 0.069 0.472 (multiplicity 4)
Nb 0.078 0.123 0.810 (multiplicity 4)
Nb 0.087 0.630 0.463 (multiplicity 4)
Nb 0.218 0.623 0.255 (multiplicity 4)
Nb 0.222 0.119 0.093 (multiplicity 4)
Nb 0.350 0.132 0.882 (multiplicity 4)
Nb 0.355 0.630 0.538 (multiplicity 4)
Nb 0.499 0.609 0.842 (multiplicity 4)
O 0.070 0.503 0.634 (multiplicity 4)
O 0.071 0.238 0.982 (multiplicity 4)
O 0.074 0.745 0.297 (multiplicity 4)
O 0.076 0.002 0.646 (multiplicity 4)
O 0.214 0.248 0.266 (multiplicity 4)
O 0.220 0.749 0.088 (multiplicity 4)
O 0.360 0.008 0.711 (multiplicity 4)
O 0.360 0.249 0.553 (multiplicity 4)
O 0.362 0.505 0.715 (multiplicity 4)
O 0.365 0.748 0.374 (multiplicity 4)
O 0.500 0.000 0.000 (multiplicity 2)
O 0.500 0.000 0.500 (multiplicity 2)
O 0.500 0.234 0.822 (multiplicity 4)

Summary:
The value obtained for the calculated density is 5.4 g cm⁻³. Its formation energy is -2699.0 meV/atom.

No. 4
The following is a DFT calculation (GGA-PBE) of a relaxed La3Lu crystal.

a b c (Å): 5.195 5.195 10.456
angles (deg): 90.00 90.00 90.00
Space group I4/mmm (No. 139)
One atom of each set of equivalent atoms:
La 0.000 0.000 0.000 (multiplicity 2)
La 0.000 0.500 0.250 (multiplicity 4)
Lu 0.000 0.000 0.500 (multiplicity 2)

Summary:
The value obtained for the calculated density is 7.0 g cm⁻³. Its formation energy is 29.5 meV/atom.

No. 5
The following is a DFT calculation (GGA-PBE) of a relaxed Tm3Al2Ni6 crystal.

a b c (Å): 8.860 8.860 8.860
angles (deg): 90.00 90.00 90.00
Space group Im-3m (No. 229)
One atom of each set of equivalent atoms:
Tm 0.000 0.000 0.295 (multiplicity 12)
Al 0.250 0.250 0.250 (multiplicity 8)
Ni 0.000 0.334 0.334 (multiplicity 24)

Summary:
The value obtained for the calculated density is 8.7 g cm⁻³. Its formation energy is -600.8 meV/atom.

No. 6
The following is a DFT calculation (GGA-PBE) of a relaxed Na2Ca4Hf4SiS11O48 crystal.

a b c (Å): 9.059 15.691 23.676
angles (deg): 89.90 89.92 89.96
Space group P1 (No. 1)
One atom of each set of equivalent atoms:
Na 0.000 0.000 0.000 (multiplicity 1)
Na 0.000 0.001 0.512 (multiplicity 1)
Na 0.510 0.502 0.014 (multiplicity 1)
Na 0.511 0.508 0.504 (multiplicity 1)
Na 0.519 0.847 0.851 (multiplicity 1)
Na 0.997 0.345 0.343 (multiplicity 1)
Ca 0.001 0.009 0.358 (multiplicity 1)
Ca 0.002 0.680 0.537 (multiplicity 1)
Ca 0.004 0.007 0.661 (multiplicity 1)
Ca 0.005 0.011 0.160 (multiplicity 1)
Ca 0.501 0.507 0.860 (multiplicity 1)
Ca 0.501 0.511 0.659 (multiplicity 1)
Ca 0.502 0.178 0.823 (multiplicity 1)
Ca 0.502 0.840 0.483 (multiplicity 1)
Ca 0.507 0.503 0.158 (multiplicity 1)
Ca 0.507 0.504 0.361 (multiplicity 1)
Ca 0.511 0.841 0.985 (multiplicity 1)
Ca 0.999 0.007 0.863 (multiplicity 1)
Hf 0.001 0.678 0.325 (multiplicity 1)
Hf 0.002 0.343 0.698 (multiplicity 1)
Hf 0.501 0.843 0.194 (multiplicity 1)
Hf 0.503 0.844 0.692 (multiplicity 1)
Hf 0.505 0.177 0.033 (multiplicity 1)
Hf 0.506 0.179 0.532 (multiplicity 1)
Hf 0.510 0.182 0.325 (multiplicity 1)
Hf 0.993 0.343 0.189 (multiplicity 1)
Hf 0.994 0.346 0.988 (multiplicity 1)
Hf 0.995 0.344 0.487 (multiplicity 1)
Hf 0.998 0.680 0.824 (multiplicity 1)
Hf 0.998 0.684 0.031 (multiplicity 1)
Si 0.646 0.322 0.429 (multiplicity 1)
Si 0.708 0.344 0.089 (multiplicity 1)
Si 0.856 0.823 0.926 (multiplicity 1)
S 0.140 0.487 0.090 (multiplicity 1)
S 0.142 0.821 0.425 (multiplicity 1)
S 0.143 0.530 0.427 (multiplicity 1)
S 0.147 0.161 0.757 (multiplicity 1)
S 0.147 0.203 0.089 (multiplicity 1)
S 0.160 0.856 0.760 (multiplicity 1)
S 0.198 0.510 0.760 (multiplicity 1)
S 0.212 0.840 0.092 (multiplicity 1)
S 0.219 0.179 0.429 (multiplicity 1)
S 0.280 0.674 0.927 (multiplicity 1)
S 0.284 0.340 0.590 (multiplicity 1)
S 0.309 0.010 0.259 (multiplicity 1)
S 0.343 0.356 0.260 (multiplicity 1)
S 0.349 0.662 0.259 (multiplicity 1)
S 0.354 0.321 0.932 (multiplicity 1)
S 0.356 0.035 0.929 (multiplicity 1)
S 0.360 0.990 0.591 (multiplicity 1)
S 0.362 0.698 0.593 (multiplicity 1)
S 0.643 0.038 0.427 (multiplicity 1)
S 0.644 0.990 0.093 (multiplicity 1)
S 0.651 0.699 0.093 (multiplicity 1)
S 0.652 0.663 0.759 (multiplicity 1)
S 0.656 0.362 0.757 (multiplicity 1)
S 0.699 0.005 0.757 (multiplicity 1)
S 0.717 0.675 0.425 (multiplicity 1)
S 0.789 0.846 0.593 (multiplicity 1)
S 0.793 0.179 0.931 (multiplicity 1)
S 0.813 0.509 0.260 (multiplicity 1)
S 0.847 0.857 0.259 (multiplicity 1)
S 0.853 0.164 0.260 (multiplicity 1)
S 0.858 0.202 0.591 (multiplicity 1)
S 0.861 0.481 0.592 (multiplicity 1)
S 0.864 0.535 0.929 (multiplicity 1)
O 0.063 0.570 0.083 (multiplicity 1)
O 0.069 0.442 0.431 (multiplicity 1)
O 0.074 0.128 0.808 (multiplicity 1)
O 0.075 0.907 0.419 (multiplicity 1)
O 0.077 0.249 0.744 (multiplicity 1)
O 0.078 0.571 0.375 (multiplicity 1)
O 0.079 0.444 0.142 (multiplicity 1)
O 0.080 0.118 0.095 (multiplicity 1)
O 0.083 0.781 0.476 (multiplicity 1)
O 0.085 0.248 0.040 (multiplicity 1)
O 0.089 0.890 0.709 (multiplicity 1)
O 0.097 0.582 0.771 (multiplicity 1)
O 0.097 0.767 0.374 (multiplicity 1)
O 0.100 0.434 0.746 (multiplicity 1)
O 0.101 0.768 0.771 (multiplicity 1)
O 0.108 0.432 0.040 (multiplicity 1)
O 0.111 0.578 0.478 (multiplicity 1)
O 0.112 0.912 0.101 (multiplicity 1)
O 0.119 0.109 0.707 (multiplicity 1)
O 0.120 0.255 0.142 (multiplicity 1)
O 0.121 0.105 0.426 (multiplicity 1)
O 0.124 0.759 0.088 (multiplicity 1)
O 0.128 0.259 0.436 (multiplicity 1)
O 0.145 0.910 0.809 (multiplicity 1)
O 0.181 0.342 0.250 (multiplicity 1)
O 0.184 0.667 0.979 (multiplicity 1)
O 0.185 0.348 0.540 (multiplicity 1)
O 0.185 0.675 0.875 (multiplicity 1)
O 0.188 0.677 0.273 (multiplicity 1)
O 0.192 0.330 0.641 (multiplicity 1)
O 0.193 0.033 0.930 (multiplicity 1)
O 0.193 0.330 0.944 (multiplicity 1)
O 0.200 0.004 0.598 (multiplicity 1)
O 0.201 0.695 0.594 (multiplicity 1)
O 0.219 0.989 0.309 (multiplicity 1)
O 0.220 0.030 0.210 (multiplicity 1)
O 0.287 0.489 0.809 (multiplicity 1)
O 0.287 0.529 0.710 (multiplicity 1)
O 0.299 0.497 0.095 (multiplicity 1)
O 0.301 0.517 0.420 (multiplicity 1)
O 0.302 0.852 0.042 (multiplicity 1)
O 0.303 0.825 0.424 (multiplicity 1)
O 0.304 0.177 0.764 (multiplicity 1)
O 0.310 0.189 0.377 (multiplicity 1)
O 0.310 0.195 0.082 (multiplicity 1)
O 0.311 0.831 0.144 (multiplicity 1)
O 0.314 0.170 0.480 (multiplicity 1)
O 0.323 0.844 0.748 (multiplicity 1)
O 0.360 0.410 0.310 (multiplicity 1)
O 0.361 0.608 0.209 (multiplicity 1)
O 0.364 0.753 0.928 (multiplicity 1)
O 0.372 0.275 0.879 (multiplicity 1)
O 0.373 0.260 0.583 (multiplicity 1)
O 0.373 0.597 0.925 (multiplicity 1)
O 0.379 0.415 0.593 (multiplicity 1)
O 0.387 0.938 0.541 (multiplicity 1)
O 0.405 0.086 0.980 (multiplicity 1)
O 0.407 0.268 0.273 (multiplicity 1)
O 0.407 0.753 0.644 (multiplicity 1)
O 0.407 0.935 0.245 (multiplicity 1)
O 0.409 0.083 0.273 (multiplicity 1)
O 0.409 0.750 0.245 (multiplicity 1)
O 0.413 0.074 0.877 (multiplicity 1)
O 0.416 0.390 0.210 (multiplicity 1)
O 0.418 0.948 0.933 (multiplicity 1)
O 0.419 0.272 0.981 (multiplicity 1)
O 0.421 0.738 0.542 (multiplicity 1)
O 0.422 0.947 0.643 (multiplicity 1)
O 0.423 0.407 0.931 (multiplicity 1)
O 0.425 0.629 0.309 (multiplicity 1)
O 0.429 0.613 0.600 (multiplicity 1)
O 0.436 0.075 0.585 (multiplicity 1)
O 0.565 0.074 0.087 (multiplicity 1)
O 0.572 0.956 0.430 (multiplicity 1)
O 0.575 0.414 0.429 (multiplicity 1)
O 0.578 0.945 0.144 (multiplicity 1)
O 0.580 0.628 0.810 (multiplicity 1)
O 0.583 0.265 0.483 (multiplicity 1)
O 0.585 0.083 0.376 (multiplicity 1)
O 0.588 0.737 0.043 (multiplicity 1)
O 0.589 0.614 0.102 (multiplicity 1)
O 0.590 0.403 0.708 (multiplicity 1)
O 0.592 0.752 0.749 (multiplicity 1)
O 0.599 0.077 0.764 (multiplicity 1)
O 0.599 0.276 0.764 (multiplicity 1)
O 0.599 0.926 0.747 (multiplicity 1)
O 0.601 0.090 0.479 (multiplicity 1)
O 0.607 0.427 0.091 (multiplicity 1)
O 0.610 0.264 0.372 (multiplicity 1)
O 0.615 0.256 0.079 (multiplicity 1)
O 0.619 0.755 0.144 (multiplicity 1)
O 0.620 0.601 0.419 (multiplicity 1)
O 0.620 0.938 0.043 (multiplicity 1)
O 0.633 0.611 0.709 (multiplicity 1)
O 0.635 0.756 0.424 (multiplicity 1)
O 0.642 0.415 0.808 (multiplicity 1)
O 0.680 0.824 0.921 (multiplicity 1)
O 0.686 0.844 0.246 (multiplicity 1)
O 0.687 0.843 0.644 (multiplicity 1)
O 0.688 0.170 0.980 (multiplicity 1)
O 0.689 0.175 0.270 (multiplicity 1)
O 0.695 0.195 0.583 (multiplicity 1)
O 0.699 0.486 0.594 (multiplicity 1)
O 0.700 0.856 0.542 (multiplicity 1)
O 0.704 0.524 0.926 (multiplicity 1)
O 0.712 0.195 0.879 (multiplicity 1)
O 0.725 0.488 0.310 (multiplicity 1)
O 0.725 0.527 0.210 (multiplicity 1)
O 0.786 0.985 0.808 (multiplicity 1)
O 0.790 0.016 0.707 (multiplicity 1)
O 0.801 0.004 0.102 (multiplicity 1)
O 0.805 0.035 0.425 (multiplicity 1)
O 0.807 0.665 0.476 (multiplicity 1)
O 0.815 0.673 0.771 (multiplicity 1)
O 0.816 0.693 0.088 (multiplicity 1)
O 0.817 0.332 0.146 (multiplicity 1)
O 0.821 0.678 0.374 (multiplicity 1)
O 0.822 0.353 0.745 (multiplicity 1)
O 0.829 0.351 0.037 (multiplicity 1)
O 0.830 0.325 0.436 (multiplicity 1)
O 0.859 0.912 0.309 (multiplicity 1)
O 0.874 0.767 0.594 (multiplicity 1)
O 0.875 0.113 0.210 (multiplicity 1)
O 0.886 0.922 0.598 (multiplicity 1)
O 0.887 0.103 0.930 (multiplicity 1)
O 0.887 0.253 0.642 (multiplicity 1)
O 0.889 0.256 0.941 (multiplicity 1)
O 0.901 0.428 0.541 (multiplicity 1)
O 0.902 0.587 0.980 (multiplicity 1)
O 0.908 0.769 0.272 (multiplicity 1)
O 0.912 0.583 0.273 (multiplicity 1)
O 0.914 0.763 0.872 (multiplicity 1)
O 0.916 0.434 0.249 (multiplicity 1)
O 0.917 0.252 0.251 (multiplicity 1)
O 0.917 0.767 0.983 (multiplicity 1)
O 0.919 0.434 0.643 (multiplicity 1)
O 0.921 0.248 0.540 (multiplicity 1)
O 0.922 0.128 0.310 (multiplicity 1)
O 0.923 0.892 0.210 (multiplicity 1)
O 0.925 0.118 0.593 (multiplicity 1)
O 0.925 0.573 0.877 (multiplicity 1)
O 0.934 0.563 0.590 (multiplicity 1)
O 0.938 0.450 0.936 (multiplicity 1)
O 0.939 0.913 0.928 (multiplicity 1)

Summary:
The value obtained for the calculated density is 3.1 g cm⁻³. Its formation energy is -2587.7 meV/atom.

No. 7
The following is a DFT calculation (GGA-PBE) of a relaxed Ce3Ga2 crystal.

a b c (Å): 8.394 8.394 7.191
angles (deg): 90.00 90.00 90.00
Space group P4_2/mnm (No. 136)
One atom of each set of equivalent atoms:
Ce 0.000 0.500 0.250 (multiplicity 4)
Ce 0.157 0.157 0.000 (multiplicity 4)
Ce 0.196 0.196 0.500 (multiplicity 4)
Ga 0.120 0.880 0.298 (multiplicity 8)

Summary:
The value obtained for the calculated density is 7.3 g cm⁻³. Its formation energy is -366.8 meV/atom.